Material: Li3Cu
Method: DFT, r²SCAN
State: optimized geometry

The total DFT energy (no corrections) is -4.4455 eV per atom. The value obtained for the formation energy is 1.296 kcal/mol of atoms.

a = 4.047 Å, b = 4.047 Å, c = 7.184 Å
α = 90.00°, β = 90.00°, γ = 90.00°
Space group I4/mmm (No. 139)
Symmetry-distinct sites (fractional):
1 Li 0.000 0.000 0.000 (multiplicity 2)
2 Li 0.000 0.500 0.250 (multiplicity 4)
3 Cu 0.000 0.000 0.500 (multiplicity 2)